Na3MgTi3P5SO24: optimized geometry, PBE.

Results
electronic total energy: -0.533 Ry per atom
energy of formation from the pure elements: -2.8605 eV/atom
space group: P1 (1)

The structure in POSCAR format:
```
Na3MgTi3P5SO24
1.0
8.6720 0.0000 0.0000
-4.3311 7.5317 0.0000
-0.0211 -0.1036 22.1903
Na Mg Ti P S O
9 3 9 15 3 72
direct
0.0000 0.0000 0.0000
0.0004 0.0026 0.5010
0.3073 0.3441 0.9151
0.3346 0.6678 0.3340
0.3502 0.6886 0.8299
0.3555 0.3317 0.5881
0.6419 0.0102 0.2487
0.6889 0.3638 0.1679
0.6974 0.3512 0.6705
0.0121 0.0131 0.8580
0.3412 0.6794 0.1909
0.3500 0.6806 0.6874
0.0116 0.0081 0.1498
0.0196 0.0200 0.3579
0.0218 0.0196 0.6495
0.3525 0.6987 0.9833
0.3530 0.6875 0.4832
0.6758 0.3487 0.8171
0.6835 0.3553 0.3162
0.6893 0.3513 0.5215
0.6924 0.3518 0.0229
0.0177 0.3036 0.2540
0.0585 0.3956 0.5870
0.0597 0.6844 0.0876
0.3035 0.0200 0.2541
0.3087 0.3105 0.7565
0.3530 0.9733 0.5874
0.3948 0.3523 0.4206
0.3985 0.0614 0.9205
0.6419 0.9772 0.0891
0.6436 0.6865 0.5862
0.6809 0.0599 0.4178
0.6824 0.6383 0.9216
0.7313 0.7260 0.2541
0.9732 0.3546 0.9192
0.9729 0.6388 0.4194
0.0153 0.7263 0.7539
0.3494 0.3915 0.0855
0.7277 0.0188 0.7537
0.0304 0.8270 0.8080
0.0316 0.2064 0.3108
0.0431 0.2073 0.5924
0.0448 0.8558 0.0908
0.1314 0.5026 0.6436
0.1338 0.6486 0.1435
0.1563 0.6538 0.4263
0.1599 0.5236 0.9260
0.1717 0.7060 0.7477
0.1785 0.7085 0.0308
0.1823 0.4832 0.2506
0.1830 0.4820 0.5315
0.1839 0.9968 0.5925
0.1874 0.2124 0.0900
0.1909 0.0035 0.3103
0.2059 0.2225 0.8132
0.2097 0.1849 0.4138
0.2119 0.0420 0.1972
0.2120 0.1906 0.6981
0.2159 0.0436 0.9165
0.3226 0.8551 0.5305
0.3265 0.4726 0.0293
0.3293 0.8596 0.2519
0.3360 0.4955 0.7491
0.3764 0.5002 0.1388
0.3776 0.5198 0.4252
0.3860 0.8982 0.6432
0.3886 0.8786 0.9256
0.4785 0.3267 0.4782
0.4898 0.1920 0.2589
0.4934 0.1797 0.9753
0.4957 0.3179 0.7583
0.5072 0.3671 0.0797
0.5067 0.6447 0.9275
0.5095 0.1662 0.5769
0.5134 0.1502 0.8630
0.5143 0.3749 0.3653
0.5135 0.8761 0.4256
0.5234 0.6374 0.6403
0.5400 0.9038 0.1471
0.5429 0.8542 0.0334
0.5483 0.8671 0.7470
0.5501 0.7113 0.2492
0.5527 0.7148 0.5295
0.6474 0.5155 0.8645
0.6561 0.1443 0.3599
0.6657 0.1641 0.0777
0.6682 0.5224 0.5746
0.7000 0.5412 0.9766
0.7049 0.1795 0.4728
0.7202 0.1884 0.7558
0.7197 0.5433 0.2594
0.8095 0.9989 0.8079
0.8260 0.8452 0.3094
0.8291 0.8531 0.5932
0.8295 0.9944 0.0910
0.8382 0.0373 0.6988
0.8420 0.3119 0.2594
0.8447 0.8193 0.9162
0.8459 0.8146 0.1964
0.8488 0.0419 0.4143
0.8489 0.5467 0.7559
0.8558 0.5477 0.4749
0.8601 0.3356 0.9757
0.8687 0.3637 0.5756
0.8693 0.5251 0.0769
0.8814 0.3799 0.8630
0.8811 0.5214 0.3632
0.9837 0.1808 0.1980
0.9898 0.8230 0.4137
0.9921 0.8142 0.6986
0.9958 0.1923 0.9166
```

***

EuMnBi2: optimized geometry, PBE.

Results
electronic total energy: -0.521 Ry per atom
energy of formation from the pure elements: -0.2899 eV/atom
space group: I4/mmm (139)

The structure in POSCAR format:
```
EuMnBi2
1.0
-2.3182 2.3182 10.7711
2.3182 -2.3182 10.7711
2.3182 2.3182 -10.7711
Eu Mn Bi
2 2 4
direct
0.1186 0.1186 0.0000
0.8814 0.8814 0.0000
0.2500 0.7500 0.5000
0.7500 0.2500 0.5000
0.0000 0.5000 0.5000
0.3283 0.3283 0.0000
0.5000 0.0000 0.5000
0.6717 0.6717 0.0000
```

***

TbMgAu2: optimized geometry, PBE.

Results
electronic total energy: -0.292 Ry per atom
energy of formation from the pure elements: -0.7769 eV/atom
space group: Fm-3m (225)

The structure in POSCAR format:
```
TbMgAu2
1.0
0.0000 3.4872 3.4872
3.4872 0.0000 3.4872
3.4872 3.4872 0.0000
Tb Mg Au
1 1 2
direct
0.0000 0.0000 0.0000
0.5000 0.5000 0.5000
0.2500 0.2500 0.2500
0.7500 0.7500 0.7500
```

***

CuAsS: optimized geometry, PBE.

Results
electronic total energy: -0.329 Ry per atom
energy of formation from the pure elements: -0.3393 eV/atom
space group: Pnma (62)

The structure in POSCAR format:
```
CuAsS
1.0
11.4041 0.0000 0.0000
0.0000 3.8242 0.0000
0.0000 0.0000 5.4662
Cu As S
4 4 4
direct
0.1748 0.2500 0.0620
0.3252 0.7500 0.5620
0.6748 0.2500 0.4380
0.8252 0.7500 0.9380
0.0138 0.2500 0.3484
0.4862 0.7500 0.8484
0.5138 0.2500 0.1516
0.9862 0.7500 0.6516
0.1691 0.7500 0.8282
0.3309 0.2500 0.3282
0.6691 0.7500 0.6718
0.8309 0.2500 0.1718
```